GdFe11W | the Materials Project database | GGA-PBE | relaxed; E = -9.240 eV/atom; crystal system = orthorhombic; symmetry = Imm2 (44); energy of formation = 0.007 eV/atom
1.0
-2.357 4.239 4.282
2.357 -4.239 4.282
2.357 4.239 -4.282
Gd Fe W
1 11 1
Direct
0.000 0.000 0.000
0.004 0.004 0.499
0.004 0.505 0.000
0.230 0.507 0.723
0.234 0.734 0.500
0.365 0.006 0.359
0.505 0.004 0.000
0.505 0.505 0.501
0.647 0.006 0.641
0.649 0.649 0.000
0.776 0.276 0.500
0.785 0.507 0.277
0.373 0.373 0.000